# PBE Ta2Zn2CuO8, relaxed
# Space group: C2/c (15)
# Total magnetization, Bohr magnetons per cell: 2.0
# Corrected total energy (MP2020 scheme), eV/atom: -7.811
# Total DFT energy (no corrections), eV per atom: -7.3887
# Formation energy from the elements, eV/atom: -2.433
# Crystal system: monoclinic
data_Ta2Zn2CuO8
_chemical_formula_sum 'Ta4 Zn4 Cu2 O16'
_cell_length_a 10.1446
_cell_length_b 10.1446
_cell_length_c 5.2305
_cell_angle_alpha 92.29
_cell_angle_beta 92.29
_cell_angle_gamma 34.40
_symmetry_space_group_name_H-M 'P 1'
_symmetry_Int_Tables_number 1
loop_
_symmetry_equiv_pos_as_xyz
'x,y,z'
loop_
_atom_site_label
_atom_site_type_symbol
_atom_site_fract_x
_atom_site_fract_y
_atom_site_fract_z
Ta1 Ta 0.0438 0.7260 0.7694
Ta2 Ta 0.2740 0.9562 0.7306
Ta3 Ta 0.7260 0.0438 0.2694
Ta4 Ta 0.9562 0.2740 0.2306
Zn1 Zn 0.1244 0.4387 0.2651
Zn2 Zn 0.4387 0.1244 0.7651
Zn3 Zn 0.5613 0.8756 0.2349
Zn4 Zn 0.8756 0.5613 0.7349
Cu1 Cu 0.3560 0.6440 0.2500
Cu2 Cu 0.6440 0.3560 0.7500
O1 O 0.0494 0.8083 0.4394
O2 O 0.0758 0.2824 0.9345
O3 O 0.1600 0.4546 0.6402
O4 O 0.1917 0.9506 0.0606
O5 O 0.2824 0.0758 0.4345
O6 O 0.3108 0.5763 0.9342
O7 O 0.4237 0.6892 0.5658
O8 O 0.4546 0.1600 0.1402
O9 O 0.5454 0.8400 0.8598
O10 O 0.5763 0.3108 0.4342
O11 O 0.6892 0.4237 0.0658
O12 O 0.7176 0.9242 0.5655
O13 O 0.8083 0.0494 0.9394
O14 O 0.8400 0.5454 0.3598
O15 O 0.9242 0.7176 0.0655
O16 O 0.9506 0.1917 0.5606